Na6Mg2Nb4Si6S3O36 | PBE | optimized geometry

The structure in POSCAR format:
```
Na6Mg2Nb4Si6S3O36
1.0
-5.466 4.314 5.671
-3.062 -6.975 -4.757
6.186 -14.094 16.685
Na Mg Nb Si S O
12 4 8 12 6 72
Direct
0.967 0.679 0.916
0.712 0.033 0.916
0.321 0.288 0.916
0.967 0.288 0.416
0.321 0.033 0.416
0.712 0.679 0.416
0.000 0.000 0.493
0.000 0.000 0.993
0.667 0.333 0.827
0.667 0.333 0.327
0.333 0.667 0.162
0.333 0.667 0.662
0.000 0.000 0.353
0.000 0.000 0.853
0.667 0.333 0.681
0.667 0.333 0.181
0.000 0.000 0.639
0.000 0.000 0.139
0.667 0.333 0.983
0.667 0.333 0.483
0.333 0.667 0.023
0.333 0.667 0.523
0.333 0.667 0.315
0.333 0.667 0.815
0.955 0.339 0.587
0.385 0.045 0.587
0.661 0.615 0.587
0.955 0.615 0.087
0.661 0.045 0.087
0.385 0.339 0.087
0.624 0.666 0.917
0.042 0.376 0.917
0.334 0.958 0.917
0.624 0.958 0.417
0.334 0.376 0.417
0.042 0.666 0.417
0.291 0.001 0.251
0.710 0.709 0.251
0.999 0.290 0.251
0.291 0.290 0.751
0.999 0.709 0.751
0.710 0.001 0.751
0.207 0.012 0.306
0.805 0.793 0.306
0.988 0.195 0.306
0.207 0.195 0.806
0.988 0.793 0.806
0.805 0.012 0.806
0.800 0.981 0.699
0.181 0.200 0.699
0.019 0.819 0.699
0.800 0.819 0.199
0.019 0.200 0.199
0.181 0.981 0.199
0.880 0.372 0.645
0.492 0.120 0.645
0.628 0.508 0.645
0.880 0.508 0.145
0.628 0.120 0.145
0.492 0.372 0.145
0.465 0.302 0.025
0.837 0.535 0.025
0.698 0.163 0.025
0.465 0.163 0.525
0.698 0.535 0.525
0.837 0.302 0.525
0.527 0.696 0.971
0.169 0.473 0.971
0.304 0.831 0.971
0.527 0.831 0.471
0.304 0.473 0.471
0.169 0.696 0.471
0.138 0.631 0.359
0.493 0.862 0.359
0.369 0.507 0.359
0.138 0.507 0.859
0.369 0.862 0.859
0.493 0.631 0.859
0.020 0.832 0.410
0.811 0.980 0.410
0.168 0.189 0.410
0.020 0.189 0.910
0.168 0.980 0.910
0.811 0.832 0.910
0.975 0.163 0.593
0.187 0.025 0.593
0.837 0.813 0.593
0.975 0.813 0.093
0.837 0.025 0.093
0.187 0.163 0.093
0.687 0.150 0.747
0.463 0.313 0.747
0.850 0.537 0.747
0.687 0.537 0.247
0.850 0.313 0.247
0.463 0.150 0.247
0.631 0.487 0.921
0.856 0.369 0.921
0.513 0.144 0.921
0.631 0.144 0.421
0.513 0.369 0.421
0.856 0.487 0.421
0.347 0.496 0.073
0.149 0.653 0.073
0.504 0.851 0.073
0.347 0.851 0.573
0.504 0.653 0.573
0.149 0.496 0.573
0.302 0.836 0.253
0.534 0.698 0.253
0.164 0.466 0.253
0.302 0.466 0.753
0.164 0.698 0.753
0.534 0.836 0.753
```

Calculated values
ρ, kg/m3: 2930
Total energy, eV per atom: -7.11
Space-group type: P3c1 (158)
V, Å³/cell: 1585.6